The following is a DFT calculation (PBE-GGA) of a relaxed structure of Na3AgO2.

Its formation energy from the elements is -1.27 eV/atom. The crystal system is orthorhombic.

Unit cell a=6.858 b=6.858 c=6.858 alpha=132.47 beta=128.13 gamma=72.98
Fractional positions:
O (0.135, 0.862, 0.726)
O (0.365, 0.591, 0.226)
O (0.635, 0.409, 0.774)
O (0.865, 0.138, 0.274)
Ag (0.500, 0.000, 0.500)
Ag (0.000, 0.000, 0.000)
Na (0.989, 0.239, 0.750)
Na (0.250, 0.500, 0.750)
Na (0.011, 0.761, 0.250)
Na (0.489, 0.239, 0.250)
Na (0.750, 0.500, 0.250)
Na (0.511, 0.761, 0.750)

=====

The following is a DFT calculation (PBE-GGA) of a relaxed structure of Te2MoWS2.

Its formation energy from the elements is -0.60 eV/atom. For the relative energy among the computed polymorphs, the calculation gives 36 meV/atom. For the total magnetic moment, the calculation gives 0.0 μB per formula unit. The crystal system is trigonal.

Unit cell a=3.361 b=3.361 c=40.195 alpha=90.00 beta=90.00 gamma=120.00
Fractional positions:
Te (0.333, 0.667, 0.236)
Te (0.667, 0.333, 0.045)
Te (0.667, 0.333, 0.139)
Te (0.333, 0.667, 0.331)
Mo (0.333, 0.667, 0.470)
Mo (0.333, 0.667, 0.092)
W (0.667, 0.333, 0.284)
W (0.667, 0.333, 0.658)
S (0.333, 0.667, 0.695)
S (0.667, 0.333, 0.432)
S (0.333, 0.667, 0.620)
S (0.667, 0.333, 0.508)

=====

The following is a DFT calculation (PBE-GGA) of a relaxed structure of MoS2.

Its formation energy from the elements is -0.55 eV/atom. For the total magnetic moment, the calculation gives 0.0 μB per formula unit. The crystal system is tetragonal.

Unit cell a=6.505 b=6.505 c=6.505 alpha=128.85 beta=128.85 gamma=75.25
Fractional positions:
Mo (0.750, 0.250, 0.500)
Mo (0.000, 0.000, 0.000)
S (0.093, 0.625, 0.968)
S (0.375, 0.343, 0.468)
S (0.875, 0.907, 0.532)
S (0.657, 0.125, 0.032)

=====

The following is a DFT calculation (PBE-GGA) of a relaxed structure of ZnBi3P3O13.

Its formation energy from the elements is -2.20 eV/atom. For the total magnetic moment, the calculation gives 0.0 μB per formula unit. The crystal system is monoclinic.

Unit cell a=7.141 b=8.476 c=11.003 alpha=78.75 beta=90.00 gamma=90.00
Fractional positions:
Bi (0.250, 0.643, 0.233)
Bi (0.750, 0.801, 0.567)
Bi (0.750, 0.357, 0.767)
Bi (0.500, 0.000, 0.000)
Bi (0.000, 0.000, 0.000)
Bi (0.250, 0.199, 0.433)
O (0.250, 0.356, 0.236)
O (0.918, 0.610, 0.218)
O (0.575, 0.249, 0.390)
O (0.067, 0.236, 0.080)
O (0.425, 0.751, 0.610)
O (0.750, 0.123, 0.889)
O (0.750, 0.357, 0.560)
O (0.582, 0.610, 0.218)
O (0.250, 0.877, 0.111)
O (0.250, 0.503, 0.022)
O (0.750, 0.061, 0.566)
O (0.567, 0.764, 0.920)
O (0.250, 0.236, 0.633)
O (0.933, 0.764, 0.920)
O (0.418, 0.390, 0.782)
O (0.250, 0.939, 0.434)
O (0.750, 0.644, 0.764)
O (0.750, 0.497, 0.978)
O (0.750, 0.764, 0.367)
O (0.750, 0.880, 0.140)
O (0.925, 0.249, 0.390)
O (0.433, 0.236, 0.080)
O (0.082, 0.390, 0.782)
O (0.250, 0.120, 0.860)
O (0.075, 0.751, 0.610)
O (0.250, 0.643, 0.440)
P (0.250, 0.279, 0.760)
P (0.750, 0.675, 0.901)
P (0.750, 0.229, 0.475)
P (0.250, 0.325, 0.099)
P (0.750, 0.721, 0.240)
P (0.250, 0.771, 0.525)
Zn (0.250, 0.562, 0.842)
Zn (0.750, 0.438, 0.158)